(1)
A geometry-optimized TiPd structure, computed with r²SCAN. Values from VASP.

total moment: 0.00 μB/cell
symmetry: P4/mmm (123)
E_tot: -18.4766 eV per atom
DFT formation energy: -527 meV/atom

Quantum ESPRESSO input file:
```
&SYSTEM
  ibrav = 0, nat = 2, ntyp = 2
/
ATOMIC_SPECIES
Ti 47.87 Ti.upf
Pd 106.42 Pd.upf
CELL_PARAMETERS angstrom
2.8147 0.0000 0.0000
0.0000 2.8147 0.0000
0.0000 0.0000 3.8658
ATOMIC_POSITIONS crystal
Ti 0.0000 0.0000 0.0000
Pd 0.5000 0.5000 0.5000
```

(2)
A geometry-optimized Ga9Ir2 structure, computed with r²SCAN. Values from VASP.

total moment: 0.00 μB/cell
symmetry: P2_1/c (14)
E_tot: -19.2043 eV per atom
DFT formation energy: -322 meV/atom
ΔE to the lowest computed polymorph: 0.003 eV per atom

Quantum ESPRESSO input file:
```
&SYSTEM
  ibrav = 0, nat = 22, ntyp = 2
/
ATOMIC_SPECIES
Ga 69.72 Ga.upf
Ir 192.22 Ir.upf
CELL_PARAMETERS angstrom
-0.2146 0.0000 -6.4162
0.0000 -6.4078 0.0000
-8.7682 0.0000 0.7686
ATOMIC_POSITIONS crystal
Ga 0.3910 0.3066 0.4978
Ga 0.2136 0.6016 0.0416
Ga 0.3910 0.1934 0.9978
Ga 0.2136 0.8984 0.5416
Ga 0.7864 0.1016 0.4584
Ga 0.6033 0.0051 0.7263
Ga 0.6090 0.8066 0.0022
Ga 0.1034 0.2122 0.7211
Ga 0.0000 0.0000 0.0000
Ga 0.1034 0.2878 0.2211
Ga 0.3967 0.5051 0.7737
Ga 0.8966 0.7122 0.7789
Ga 0.6033 0.4949 0.2263
Ga 0.3967 0.9949 0.2737
Ga 0.7864 0.3984 0.9584
Ga 0.8966 0.7878 0.2789
Ga 0.0000 0.5000 0.5000
Ga 0.6090 0.6934 0.5022
Ir 0.7393 0.3708 0.6685
Ir 0.2607 0.6292 0.3315
Ir 0.7393 0.1292 0.1685
Ir 0.2607 0.8708 0.8315
```

(3)
A geometry-optimized Mg3TiNi2 structure, computed with r²SCAN. Values from VASP.

total moment: 0.00 μB/cell
symmetry: Fd-3m (227)
E_tot: -8.4755 eV per atom
DFT formation energy: -241 meV/atom

Quantum ESPRESSO input file:
```
&SYSTEM
  ibrav = 0, nat = 24, ntyp = 3
/
ATOMIC_SPECIES
Ni 58.69 Ni.upf
Ti 47.87 Ti.upf
Mg 24.30 Mg.upf
CELL_PARAMETERS angstrom
0.0000 5.7730 5.7730
5.7730 0.0000 5.7730
5.7730 5.7730 0.0000
ATOMIC_POSITIONS crystal
Ni 0.7392 0.4203 0.4203
Ni 0.8297 0.8297 0.5108
Ni 0.8297 0.8297 0.8297
Ni 0.4203 0.7392 0.4203
Ni 0.4203 0.4203 0.7392
Ni 0.4203 0.4203 0.4203
Ni 0.8297 0.5108 0.8297
Ni 0.5108 0.8297 0.8297
Ti 0.1250 0.6250 0.6250
Ti 0.6250 0.1250 0.6250
Ti 0.6250 0.6250 0.1250
Ti 0.6250 0.6250 0.6250
Mg 0.0573 0.0573 0.4427
Mg 0.1927 0.8073 0.8073
Mg 0.8073 0.1927 0.1927
Mg 0.0573 0.4427 0.4427
Mg 0.4427 0.4427 0.0573
Mg 0.4427 0.0573 0.4427
Mg 0.0573 0.4427 0.0573
Mg 0.1927 0.1927 0.8073
Mg 0.1927 0.8073 0.1927
Mg 0.4427 0.0573 0.0573
Mg 0.8073 0.1927 0.8073
Mg 0.8073 0.8073 0.1927
```

(4)
A geometry-optimized NdSeO structure, computed with r²SCAN. Values from VASP.

total moment: 0.00 μB/cell
symmetry: Cmce (64)
E_tot: -19.3277 eV per atom
DFT formation energy: -2760 meV/atom

Quantum ESPRESSO input file:
```
&SYSTEM
  ibrav = 0, nat = 12, ntyp = 3
/
ATOMIC_SPECIES
Se 78.96 Se.upf
O 16.00 O.upf
Nd 144.24 Nd.upf
CELL_PARAMETERS angstrom
3.0010 -6.6439 0.0000
3.0010 6.6439 0.0000
0.0000 0.0000 5.9949
ATOMIC_POSITIONS crystal
Se 0.8597 0.8597 0.8594
Se 0.3597 0.3597 0.6406
Se 0.1403 0.1403 0.1406
Se 0.6403 0.6403 0.3594
O 0.4939 0.9939 0.7500
O 0.5061 0.0061 0.2500
O 0.0061 0.5061 0.2500
O 0.9939 0.4939 0.7500
Nd 0.3325 0.6675 0.0000
Nd 0.8325 0.1675 0.5000
Nd 0.1675 0.8325 0.5000
Nd 0.6675 0.3325 0.0000
```

(5)
A geometry-optimized Lu2RuRh structure, computed with r²SCAN. Values from VASP.

total moment: 0.00 μB/cell
symmetry: Fm-3m (225)
E_tot: -32.2634 eV per atom
DFT formation energy: -833 meV/atom

Quantum ESPRESSO input file:
```
&SYSTEM
  ibrav = 0, nat = 4, ntyp = 3
/
ATOMIC_SPECIES
Lu 174.97 Lu.upf
Rh 102.91 Rh.upf
Ru 101.07 Ru.upf
CELL_PARAMETERS angstrom
0.0000 3.3106 3.3106
3.3106 0.0000 3.3106
3.3106 3.3106 0.0000
ATOMIC_POSITIONS crystal
Lu 0.5000 0.5000 0.5000
Lu 0.0000 0.0000 0.0000
Rh 0.2500 0.2500 0.2500
Ru 0.7500 0.7500 0.7500
```

(6)
A geometry-optimized ScTi9N9 structure, computed with r²SCAN. Values from VASP.

total moment: 0.00 μB/cell
symmetry: P-1 (2)
E_tot: -12.9503 eV per atom
DFT formation energy: -1898 meV/atom

Quantum ESPRESSO input file:
```
&SYSTEM
  ibrav = 0, nat = 19, ntyp = 3
/
ATOMIC_SPECIES
N 14.01 N.upf
Ti 47.87 Ti.upf
Sc 44.96 Sc.upf
CELL_PARAMETERS angstrom
5.2122 0.0025 -0.0022
1.7423 5.7729 0.0035
1.7428 1.0439 6.4367
ATOMIC_POSITIONS crystal
N 0.1933 0.7947 0.1041
N 0.3982 0.1025 0.6931
N 0.6018 0.8975 0.3069
N 0.4020 0.5994 0.6994
N 0.5980 0.4006 0.3006
N 0.8067 0.2053 0.8959
N 0.0000 0.0000 0.5000
N 0.8068 0.6933 0.8981
N 0.1932 0.3067 0.1019
Ti 0.6917 0.8069 0.6058
Ti 0.3083 0.1931 0.3942
Ti 0.8968 0.1012 0.2064
Ti 0.1074 0.3967 0.8093
Ti 0.1032 0.8988 0.7936
Ti 0.3132 0.7028 0.3987
Ti 0.5000 0.5000 0.0000
Ti 0.8926 0.6033 0.1907
Ti 0.6868 0.2972 0.6013
Sc 0.5000 0.0000 0.0000
```

(7)
A geometry-optimized Ho5Sn3 structure, computed with r²SCAN. Values from VASP.

total moment: 0.00 μB/cell
symmetry: P6_3/mcm (193)
E_tot: -30.6658 eV per atom
DFT formation energy: -835 meV/atom

Quantum ESPRESSO input file:
```
&SYSTEM
  ibrav = 0, nat = 16, ntyp = 2
/
ATOMIC_SPECIES
Ho 164.93 Ho.upf
Sn 118.71 Sn.upf
CELL_PARAMETERS angstrom
-4.1900 6.6510 4.1255
5.0173 -5.6526 4.6569
5.1865 3.8413 -0.9252
ATOMIC_POSITIONS crystal
Ho 0.0000 0.7616 0.7500
Ho 0.2384 0.0000 0.2500
Ho 0.7616 0.7616 0.2500
Ho 0.3333 0.6667 0.0000
Ho 0.2384 0.2384 0.7500
Ho 0.0000 0.2384 0.2500
Ho 0.6667 0.3333 0.5000
Ho 0.3333 0.6667 0.5000
Ho 0.7616 0.0000 0.7500
Ho 0.6667 0.3333 0.0000
Sn 0.3944 0.3944 0.2500
Sn 0.6056 0.6056 0.7500
Sn 0.0000 0.3944 0.7500
Sn 0.0000 0.6056 0.2500
Sn 0.6056 0.0000 0.2500
Sn 0.3944 0.0000 0.7500
```

(8)
A geometry-optimized Eu4As7Ir8 structure, computed with r²SCAN. Values from VASP.

total moment: 0.30 μB/cell
symmetry: P2_1/m (11)
E_tot: -36.3758 eV per atom
DFT formation energy: -802 meV/atom

Quantum ESPRESSO input file:
```
&SYSTEM
  ibrav = 0, nat = 38, ntyp = 3
/
ATOMIC_SPECIES
As 74.92 As.upf
Ir 192.22 Ir.upf
Eu 151.96 Eu.upf
CELL_PARAMETERS angstrom
0.0000 -4.1146 0.0000
-12.9630 0.0000 1.9327
0.0032 0.0000 -13.6222
ATOMIC_POSITIONS crystal
As 0.2500 0.0942 0.4133
As 0.7500 0.7434 0.9191
As 0.7500 0.9058 0.5867
As 0.7500 0.8478 0.2795
As 0.2500 0.6890 0.6894
As 0.2500 0.9417 0.1001
As 0.7500 0.0583 0.8999
As 0.2500 0.3908 0.5625
As 0.2500 0.2566 0.0809
As 0.7500 0.5303 0.1272
As 0.2500 0.4697 0.8728
As 0.2500 0.1522 0.7205
As 0.7500 0.6092 0.4375
As 0.7500 0.3110 0.3106
Ir 0.7500 0.6642 0.2717
Ir 0.7500 0.9200 0.0018
Ir 0.7500 0.4253 0.4713
Ir 0.2500 0.0800 0.9982
Ir 0.2500 0.0144 0.5733
Ir 0.7500 0.7224 0.6019
Ir 0.2500 0.2776 0.3981
Ir 0.7500 0.0563 0.7208
Ir 0.7500 0.3428 0.1380
Ir 0.2500 0.5747 0.5287
Ir 0.7500 0.5534 0.9514
Ir 0.2500 0.3358 0.7283
Ir 0.2500 0.6572 0.8620
Ir 0.7500 0.9856 0.4267
Ir 0.2500 0.4466 0.0486
Ir 0.2500 0.9437 0.2792
Eu 0.7500 0.1024 0.2061
Eu 0.2500 0.4863 0.2909
Eu 0.2500 0.7145 0.1044
Eu 0.7500 0.5137 0.7091
Eu 0.2500 0.8976 0.7939
Eu 0.2500 0.7868 0.4346
Eu 0.7500 0.2855 0.8956
Eu 0.7500 0.2132 0.5654
```

(9)
A geometry-optimized K4TiO4 structure, computed with r²SCAN. Values from VASP.

total moment: 0.00 μB/cell
symmetry: P-1 (2)
E_tot: -9.0400 eV per atom
DFT formation energy: -2273 meV/atom
ΔE to the lowest computed polymorph: 0.000 eV per atom

Quantum ESPRESSO input file:
```
&SYSTEM
  ibrav = 0, nat = 18, ntyp = 3
/
ATOMIC_SPECIES
O 16.00 O.upf
Ti 47.87 Ti.upf
K 39.10 K.upf
CELL_PARAMETERS angstrom
-5.4830 3.1615 0.7140
-4.9379 -2.7724 -3.0129
-4.4523 -5.6923 6.2682
ATOMIC_POSITIONS crystal
O 0.3698 0.8349 0.9048
O 0.9547 0.3366 0.1916
O 0.4561 0.7077 0.6250
O 0.0510 0.1423 0.6529
O 0.9490 0.8577 0.3471
O 0.0453 0.6634 0.8084
O 0.5439 0.2923 0.3750
O 0.6302 0.1651 0.0952
Ti 0.2266 0.8426 0.7521
Ti 0.7734 0.1574 0.2479
K 0.2555 0.2333 0.9708
K 0.7774 0.5124 0.4385
K 0.7445 0.7667 0.0292
K 0.2226 0.4876 0.5615
K 0.7532 0.4150 0.8382
K 0.2802 0.0353 0.3805
K 0.7198 0.9647 0.6195
K 0.2468 0.5850 0.1618
```

(10)
A geometry-optimized Pb3SO6 structure, computed with r²SCAN. Values from VASP.

total moment: 0.00 μB/cell
symmetry: P2_1/m (11)
E_tot: -22.7514 eV per atom
DFT formation energy: -1479 meV/atom

Quantum ESPRESSO input file:
```
&SYSTEM
  ibrav = 0, nat = 20, ntyp = 3
/
ATOMIC_SPECIES
Pb 207.20 Pb.upf
O 16.00 O.upf
S 32.06 S.upf
CELL_PARAMETERS angstrom
5.7931 0.0000 0.0000
0.0000 7.1893 -0.0736
0.0000 1.8911 7.8977
ATOMIC_POSITIONS crystal
Pb 0.2500 0.9207 0.3743
Pb 0.2500 0.7674 0.8453
Pb 0.7500 0.2326 0.1547
Pb 0.2500 0.3962 0.4159
Pb 0.7500 0.0793 0.6257
Pb 0.7500 0.6038 0.5841
O 0.5000 0.1783 0.3794
O 0.0000 0.1783 0.3794
O 0.9566 0.5799 0.1644
O 0.2500 0.1651 0.0251
O 0.2500 0.1798 0.7250
O 0.5000 0.8217 0.6206
O 0.7500 0.8349 0.9749
O 0.5434 0.5799 0.1644
O 0.0000 0.8217 0.6206
O 0.0434 0.4201 0.8356
O 0.7500 0.8202 0.2750
O 0.4566 0.4201 0.8356
S 0.2500 0.2947 0.8582
S 0.7500 0.7053 0.1418
```

(11)
A geometry-optimized LiCrSnO4 structure, computed with r²SCAN. Values from VASP.

total moment: 12.00 μB/cell
E_tot: -11.6048 eV per atom
DFT formation energy: -2162 meV/atom

Quantum ESPRESSO input file:
```
&SYSTEM
  ibrav = 0, nat = 28, ntyp = 4
/
ATOMIC_SPECIES
Li 6.94 Li.upf
O 16.00 O.upf
Sn 118.71 Sn.upf
Cr 52.00 Cr.upf
CELL_PARAMETERS angstrom
2.3934 5.4325 -0.0826
-5.4397 2.4239 1.7993
2.3044 -0.8910 8.1671
ATOMIC_POSITIONS crystal
Li 0.5000 0.7500 0.6266
Li 0.0000 0.2500 0.1266
Li 0.0000 0.7500 0.8734
Li 0.5000 0.2500 0.3734
O 0.7661 0.7500 0.4871
O 0.5000 0.0322 0.7596
O 0.0000 0.9678 0.2596
O 0.7339 0.2500 0.9871
O 0.2661 0.2500 0.9871
O 0.0000 0.4678 0.7404
O 0.7661 0.2500 0.5129
O 0.2339 0.2500 0.5129
O 0.0000 0.5322 0.2596
O 0.5000 0.5322 0.2404
O 0.2661 0.7500 0.0129
O 0.2339 0.7500 0.4871
O 0.5000 0.4678 0.7596
O 0.5000 0.9678 0.2404
O 0.7339 0.7500 0.0129
O 0.0000 0.0322 0.7404
Sn 0.0000 0.0000 0.5000
Sn 0.5000 0.0000 0.0000
Sn 0.0000 0.5000 0.5000
Sn 0.5000 0.5000 0.0000
Cr 0.2500 0.2500 0.7500
Cr 0.7500 0.2500 0.7500
Cr 0.2500 0.7500 0.2500
Cr 0.7500 0.7500 0.2500
```

(12)
A geometry-optimized NpAl3 structure, computed with r²SCAN. Values from VASP.

total moment: 3.58 μB/cell
symmetry: Pm-3m (221)
E_tot: -26.1078 eV per atom
DFT formation energy: -303 meV/atom

Quantum ESPRESSO input file:
```
&SYSTEM
  ibrav = 0, nat = 4, ntyp = 2
/
ATOMIC_SPECIES
Al 26.98 Al.upf
Np 237.00 Np.upf
CELL_PARAMETERS angstrom
4.2415 0.0000 0.0000
0.0000 4.2415 0.0000
0.0000 0.0000 4.2415
ATOMIC_POSITIONS crystal
Al 0.5000 0.0000 0.5000
Al 0.0000 0.5000 0.5000
Al 0.5000 0.5000 0.0000
Np 0.0000 0.0000 0.0000
```

(13)
A geometry-optimized ZnCu2SiTe4 structure, computed with r²SCAN. Values from VASP.

total moment: 0.00 μB/cell
symmetry: I-42m (121)
E_tot: -17.8597 eV per atom
DFT formation energy: -229 meV/atom

Quantum ESPRESSO input file:
```
&SYSTEM
  ibrav = 0, nat = 8, ntyp = 4
/
ATOMIC_SPECIES
Te 127.60 Te.upf
Si 28.09 Si.upf
Cu 63.55 Cu.upf
Zn 65.41 Zn.upf
CELL_PARAMETERS angstrom
-2.9885 2.9885 5.9464
2.9885 -2.9885 5.9464
2.9885 2.9885 -5.9464
ATOMIC_POSITIONS crystal
Te 0.3877 0.8715 0.0000
Te 0.1285 0.1285 0.5162
Te 0.8715 0.3877 0.0000
Te 0.6123 0.6123 0.4838
Si 0.5000 0.5000 0.0000
Cu 0.7500 0.2500 0.5000
Cu 0.2500 0.7500 0.5000
Zn 0.0000 0.0000 0.0000
```

(14)
A geometry-optimized Li2CaTa2O7 structure, computed with r²SCAN. Values from VASP.

total moment: 0.00 μB/cell
symmetry: Pnma (62)
E_tot: -15.6273 eV per atom
DFT formation energy: -3060 meV/atom

Quantum ESPRESSO input file:
```
&SYSTEM
  ibrav = 0, nat = 48, ntyp = 4
/
ATOMIC_SPECIES
O 16.00 O.upf
Li 6.94 Li.upf
Ta 180.95 Ta.upf
Ca 40.08 Ca.upf
CELL_PARAMETERS angstrom
-1.5763 2.1565 4.7571
2.9985 -3.7680 2.7017
14.3216 11.1689 -0.3176
ATOMIC_POSITIONS crystal
O 0.4507 0.7566 0.5354
O 0.4507 0.7566 0.9646
O 0.7916 0.9583 0.8692
O 0.0493 0.2566 0.5354
O 0.5789 0.7290 0.7500
O 0.7084 0.4583 0.8692
O 0.5493 0.2434 0.0354
O 0.5493 0.2434 0.4646
O 0.9211 0.2290 0.7500
O 0.2084 0.0417 0.3692
O 0.0493 0.2566 0.9646
O 0.7187 0.9705 0.1647
O 0.2916 0.5417 0.3692
O 0.2813 0.0295 0.6647
O 0.2084 0.0417 0.1308
O 0.7813 0.4705 0.3353
O 0.7084 0.4583 0.6308
O 0.7813 0.4705 0.1647
O 0.2916 0.5417 0.1308
O 0.4211 0.2710 0.2500
O 0.2187 0.5295 0.6647
O 0.9507 0.7434 0.4646
O 0.9507 0.7434 0.0354
O 0.2187 0.5295 0.8353
O 0.0789 0.7710 0.2500
O 0.2813 0.0295 0.8353
O 0.7916 0.9583 0.6308
O 0.7187 0.9705 0.3353
Li 0.7487 0.4921 0.9875
Li 0.2513 0.5079 0.4875
Li 0.2487 0.0079 0.4875
Li 0.7487 0.4921 0.5125
Li 0.7513 0.9921 0.9875
Li 0.2513 0.5079 0.0125
Li 0.7513 0.9921 0.5125
Li 0.2487 0.0079 0.0125
Ta 0.4984 0.7587 0.8628
Ta 0.9984 0.7413 0.1372
Ta 0.9984 0.7413 0.3628
Ta 0.5016 0.2413 0.1372
Ta 0.5016 0.2413 0.3628
Ta 0.0016 0.2587 0.8628
Ta 0.0016 0.2587 0.6372
Ta 0.4984 0.7587 0.6372
Ca 0.4981 0.2933 0.7500
Ca 0.9981 0.2067 0.2500
Ca 0.0019 0.7933 0.7500
Ca 0.5019 0.7067 0.2500
```

(15)
A geometry-optimized SmCdPd structure, computed with r²SCAN. Values from VASP.

total moment: 0.00 μB/cell
symmetry: P-62m (189)
E_tot: -24.9861 eV per atom
DFT formation energy: -720 meV/atom

Quantum ESPRESSO input file:
```
&SYSTEM
  ibrav = 0, nat = 9, ntyp = 3
/
ATOMIC_SPECIES
Pd 106.42 Pd.upf
Sm 150.36 Sm.upf
Cd 112.41 Cd.upf
CELL_PARAMETERS angstrom
-4.7107 4.5368 -3.9254
0.6340 0.7876 7.5604
2.9682 2.6295 -0.5229
ATOMIC_POSITIONS crystal
Pd 0.6667 0.3333 0.0000
Pd 0.3333 0.6667 0.0000
Pd 0.0000 0.0000 0.5000
Sm 0.4049 0.4049 0.5000
Sm 0.0000 0.5951 0.5000
Sm 0.5951 0.0000 0.5000
Cd 0.7460 0.7460 0.0000
Cd 0.0000 0.2540 0.0000
Cd 0.2540 0.0000 0.0000
```

(16)
A geometry-optimized Gd3Dy structure, computed with r²SCAN. Values from VASP.

total moment: 25.00 μB/cell
symmetry: Pm-3m (221)
E_tot: -40.4694 eV per atom
DFT formation energy: 74 meV/atom

Quantum ESPRESSO input file:
```
&SYSTEM
  ibrav = 0, nat = 4, ntyp = 2
/
ATOMIC_SPECIES
Gd 157.25 Gd.upf
Dy 162.50 Dy.upf
CELL_PARAMETERS angstrom
-4.8300 1.6267 0.8356
-1.7501 -3.4266 -3.4450
-0.5307 -3.5050 3.7559
ATOMIC_POSITIONS crystal
Gd 0.5000 0.0000 0.5000
Gd 0.5000 0.5000 0.0000
Gd 0.0000 0.5000 0.5000
Dy 0.0000 0.0000 0.0000
```

(17)
A geometry-optimized YbMg2Sb2 structure, computed with r²SCAN. Values from VASP.

total moment: 0.00 μB/cell
symmetry: P-3m1 (164)
E_tot: -19.9099 eV per atom
DFT formation energy: -654 meV/atom

Quantum ESPRESSO input file:
```
&SYSTEM
  ibrav = 0, nat = 5, ntyp = 3
/
ATOMIC_SPECIES
Mg 24.30 Mg.upf
Sb 121.76 Sb.upf
Yb 173.04 Yb.upf
CELL_PARAMETERS angstrom
2.3264 -4.0294 0.0000
2.3264 4.0294 0.0000
0.0000 0.0000 7.0571
ATOMIC_POSITIONS crystal
Mg 0.3333 0.6667 0.3528
Mg 0.6667 0.3333 0.6472
Sb 0.6667 0.3333 0.2346
Sb 0.3333 0.6667 0.7654
Yb 0.0000 0.0000 0.0000
```